Mn2FeReO6: relaxed, PBE with a Hubbard U.

Cell: 5.2923 5.4231 7.7444 Å, 90.38 90.03 90.10°
Fractional coordinates of all 20 atoms:
Mn (0.5079, 0.4473, 0.2485)
Mn (0.9947, 0.9491, 0.2462)
Mn (0.0067, 0.0522, 0.7560)
Mn (0.4918, 0.5528, 0.7480)
Fe (0.0006, 0.5002, 0.9979)
Fe (0.5006, 0.9996, 0.5000)
Re (0.9996, 0.4999, 0.4991)
Re (0.5007, 0.0007, 0.0016)
O (0.1583, 0.8025, 0.5674)
O (0.6815, 0.6982, 0.0672)
O (0.8405, 0.1963, 0.4329)
O (0.3196, 0.3035, 0.9332)
O (0.1922, 0.8121, 0.9409)
O (0.6872, 0.6718, 0.4405)
O (0.8107, 0.1871, 0.0582)
O (0.3081, 0.3234, 0.5605)
O (0.6194, 0.9404, 0.7637)
O (0.1190, 0.5582, 0.2588)
O (0.3798, 0.0608, 0.2380)
O (0.8809, 0.4439, 0.7413)

Calculated values
- E: -7.804 eV/atom
- Theoretical density: 6.69 g/cm³
- MP2020-corrected energy: -8.78 eV/atom
- Energy above the lowest structure with this stoichiometry: 14 meV per atom